No. 1
## DyLuRh2 (PBE)

Data for DyLuRh2 after structural relaxation.

Cell lengths 4.8013, 4.8013, 4.8013 Å; angles 60.00, 60.00, 60.00 degrees
Sites, in units of the cell vectors:
1 Dy 0.5000 0.5000 0.5000
2 Rh 0.2500 0.2500 0.2500
3 Rh 0.7500 0.7500 0.7500
4 Lu 0.0000 0.0000 0.0000

Properties
energy relative to the elements: -3.771 eV per formula unit
E_tot: -6.907 eV per atom


No. 2
## DyLuRu2 (PBE)

Data for DyLuRu2 after structural relaxation.

Cell lengths 4.7630, 4.7630, 4.7630 Å; angles 60.00, 60.00, 60.00 degrees
Sites, in units of the cell vectors:
1 Lu 0.0000 0.0000 0.0000
2 Ru 0.2500 0.2500 0.2500
3 Ru 0.7500 0.7500 0.7500
4 Dy 0.5000 0.5000 0.5000

Properties
energy relative to the elements: -1.574 eV per formula unit
E_tot: -7.313 eV per atom


No. 3
## DyLuTl2 (PBE)

Data for DyLuTl2 after structural relaxation.

Cell lengths 5.3288, 5.3288, 5.3288 Å; angles 60.00, 60.00, 60.00 degrees
Sites, in units of the cell vectors:
1 Dy 0.2500 0.2500 0.2500
2 Tl 0.0000 0.0000 0.0000
3 Tl 0.5000 0.5000 0.5000
4 Lu 0.7500 0.7500 0.7500

Properties
energy relative to the elements: -1.175 eV per formula unit
E_tot: -3.757 eV per atom


Repeat the first record exactly.
## DyLuRh2 (PBE)

Data for DyLuRh2 after structural relaxation.

Cell lengths 4.8013, 4.8013, 4.8013 Å; angles 60.00, 60.00, 60.00 degrees
Sites, in units of the cell vectors:
1 Dy 0.5000 0.5000 0.5000
2 Rh 0.2500 0.2500 0.2500
3 Rh 0.7500 0.7500 0.7500
4 Lu 0.0000 0.0000 0.0000

Properties
energy relative to the elements: -3.771 eV per formula unit
E_tot: -6.907 eV per atom


- Which value of energy relative to the elements does entry 3 give?
  -1.175 eV per formula unit